Record 1
First-principles (PBE+U) data for a relaxed structure of Li2Mn3B3O9, as listed in the Materials Project database.

```
data_Li2Mn3B3O9
_chemical_formula_sum 'Li4 Mn6 B6 O18'
_symmetry_space_group_name_H-M 'P -1'
_symmetry_Int_Tables_number 2
_symmetry_space_group_name_Hall '-P 1'
_cell_length_a 5.860
_cell_length_b 8.230
_cell_length_c 9.100
_cell_angle_alpha 112.29
_cell_angle_beta 102.81
_cell_angle_gamma 102.07
loop_
_atom_site_label
_atom_site_fract_x
_atom_site_fract_y
_atom_site_fract_z
_atom_site_occupancy
Li1 0.051 0.391 0.232 1
Li2 0.250 0.948 0.443 1
Mn1 0.144 0.386 0.884 1
Mn2 0.244 0.000 0.816 1
Mn3 0.440 0.694 0.569 1
B1 0.107 0.352 0.531 1
B2 0.210 0.948 0.107 1
B3 0.432 0.701 0.231 1
O1 0.060 0.913 0.201 1
O2 0.103 0.805 0.555 1
O3 0.124 0.859 0.935 1
O4 0.173 0.465 0.699 1
O5 0.212 0.553 0.139 1
O6 0.246 0.405 0.440 1
O7 0.420 0.257 0.860 1
O8 0.451 0.072 0.196 1
O9 0.497 0.809 0.401 1
```



Record 2
First-principles (PBE+U) data for a relaxed structure of Li2Mn3B3O9, as listed in the Materials Project database.

```
data_Li2Mn3B3O9
_chemical_formula_sum 'Li16 Mn24 B24 O72'
_symmetry_space_group_name_H-M 'C 1 m 1'
_symmetry_Int_Tables_number 8
_symmetry_space_group_name_Hall 'C -2y'
_cell_length_a 16.611
_cell_length_b 6.348
_cell_length_c 14.314
_cell_angle_alpha 90.00
_cell_angle_beta 90.65
_cell_angle_gamma 90.00
loop_
_atom_site_label
_atom_site_fract_x
_atom_site_fract_y
_atom_site_fract_z
_atom_site_occupancy
Li1 0.000 0.000 0.000 1
Li2 0.000 0.500 0.001 1
Li3 0.024 0.000 0.373 1
Li4 0.234 0.500 0.210 1
Li5 0.250 0.000 0.500 1
Li6 0.251 0.500 0.501 1
Li7 0.275 0.500 0.869 1
Li8 0.484 0.000 0.711 1
Mn1 0.076 0.250 0.185 1
Mn2 0.078 0.249 0.546 1
Mn3 0.103 0.246 0.850 1
Mn4 0.326 0.250 0.684 1
Mn5 0.328 0.246 0.045 1
Mn6 0.353 0.245 0.349 1
B1 0.165 0.000 0.028 1
B2 0.169 0.500 0.024 1
B3 0.169 0.500 0.692 1
B4 0.171 0.251 0.363 1
B5 0.173 0.000 0.690 1
B6 0.416 0.000 0.526 1
B7 0.417 0.500 0.524 1
B8 0.419 0.500 0.193 1
B9 0.421 0.250 0.863 1
B10 0.423 0.000 0.189 1
O1 0.000 0.500 0.224 1
O2 0.098 0.232 0.407 1
O3 0.101 0.000 0.091 1
O4 0.101 0.500 0.079 1
O5 0.101 0.500 0.749 1
O6 0.107 0.000 0.750 1
O7 0.144 0.000 0.934 1
O8 0.159 0.500 0.595 1
O9 0.160 0.000 0.594 1
O10 0.163 0.500 0.927 1
O11 0.175 0.268 0.267 1
O12 0.242 0.252 0.417 1
O13 0.244 0.000 0.056 1
O14 0.245 0.500 0.067 1
O15 0.246 0.500 0.732 1
O16 0.250 0.000 0.727 1
O17 0.348 0.271 0.907 1
O18 0.350 0.500 0.249 1
O19 0.351 0.000 0.585 1
O20 0.352 0.500 0.583 1
O21 0.358 0.000 0.249 1
O22 0.403 0.000 0.431 1
O23 0.405 0.500 0.427 1
O24 0.409 0.000 0.092 1
O25 0.410 0.500 0.096 1
O26 0.425 0.234 0.767 1
O27 0.492 0.246 0.917 1
O28 0.494 0.000 0.566 1
O29 0.495 0.500 0.235 1
O30 0.496 0.500 0.556 1
```



Record 3
First-principles (PBE+U) data for a relaxed structure of Li9Mn4B8O24, as listed in the Materials Project database.

```
data_Li9Mn4B8O24
_chemical_formula_sum 'Li9 Mn4 B8 O24'
_symmetry_space_group_name_H-M 'P 1'
_symmetry_Int_Tables_number 1
_symmetry_space_group_name_Hall 'P 1'
_cell_length_a 5.214
_cell_length_b 8.799
_cell_length_c 9.717
_cell_angle_alpha 89.07
_cell_angle_beta 86.33
_cell_angle_gamma 89.00
loop_
_atom_site_label
_atom_site_fract_x
_atom_site_fract_y
_atom_site_fract_z
_atom_site_occupancy
Li1 0.000 0.000 0.000 1
Li2 0.029 0.282 0.516 1
Li3 0.138 0.786 0.236 1
Li4 0.191 0.747 0.785 1
Li5 0.434 0.885 0.465 1
Li6 0.512 0.848 0.012 1
Li7 0.628 0.663 0.247 1
Li8 0.673 0.330 0.309 1
Li9 0.707 0.369 0.773 1
Mn1 0.193 0.109 0.251 1
Mn2 0.417 0.519 0.004 1
Mn3 0.702 0.023 0.749 1
Mn4 0.926 0.612 0.505 1
B1 0.138 0.463 0.266 1
B2 0.146 0.103 0.742 1
B3 0.485 0.527 0.513 1
B4 0.489 0.177 0.992 1
B5 0.654 0.681 0.767 1
B6 0.656 0.992 0.238 1
B7 0.966 0.950 0.494 1
B8 0.979 0.608 0.013 1
O1 0.045 0.324 0.293 1
O2 0.055 0.958 0.782 1
O3 0.072 0.463 0.989 1
O4 0.075 0.807 0.471 1
O5 0.122 0.068 0.449 1
O6 0.180 0.713 0.018 1
O7 0.236 0.486 0.523 1
O8 0.260 0.131 0.054 1
O9 0.386 0.493 0.206 1
O10 0.394 0.143 0.729 1
O11 0.489 0.872 0.233 1
O12 0.490 0.563 0.808 1
O13 0.558 0.826 0.795 1
O14 0.560 0.134 0.274 1
O15 0.568 0.324 0.970 1
O16 0.572 0.674 0.483 1
O17 0.662 0.060 0.946 1
O18 0.698 0.428 0.522 1
O19 0.725 0.647 0.034 1
O20 0.726 0.973 0.558 1
O21 0.891 0.647 0.702 1
O22 0.917 0.968 0.207 1
O23 0.937 0.198 0.714 1
O24 0.979 0.591 0.304 1
```



Record 4
First-principles (PBE+U) data for a relaxed structure of LiMn2B2O6, as listed in the Materials Project database.

```
data_LiMn2B2O6
_chemical_formula_sum 'Li4 Mn8 B8 O24'
_symmetry_space_group_name_H-M 'P -1'
_symmetry_Int_Tables_number 2
_symmetry_space_group_name_Hall '-P 1'
_cell_length_a 5.301
_cell_length_b 9.110
_cell_length_c 10.556
_cell_angle_alpha 79.79
_cell_angle_beta 79.06
_cell_angle_gamma 89.90
loop_
_atom_site_label
_atom_site_fract_x
_atom_site_fract_y
_atom_site_fract_z
_atom_site_occupancy
Li1 0.009 0.383 0.168 1
Li2 0.260 0.135 0.666 1
Mn1 0.027 0.745 0.126 1
Mn2 0.228 0.013 0.372 1
Mn3 0.276 0.497 0.623 1
Mn4 0.476 0.760 0.876 1
B1 0.008 0.072 0.130 1
B2 0.237 0.687 0.375 1
B3 0.259 0.822 0.631 1
B4 0.487 0.436 0.875 1
O1 0.001 0.689 0.333 1
O2 0.082 0.787 0.920 1
O3 0.113 0.696 0.645 1
O4 0.135 0.054 0.854 1
O5 0.176 0.964 0.577 1
O6 0.237 0.076 0.175 1
O7 0.253 0.442 0.829 1
O8 0.331 0.549 0.425 1
O9 0.363 0.440 0.137 1
O10 0.384 0.812 0.365 1
O11 0.428 0.703 0.072 1
O12 0.483 0.822 0.681 1
```



Record 5
First-principles (PBE+U) data for a relaxed structure of Li2Mn3B3O9, as listed in the Materials Project database.

```
data_Li2Mn3B3O9
_chemical_formula_sum 'Li4 Mn6 B6 O18'
_symmetry_space_group_name_H-M 'P -1'
_symmetry_Int_Tables_number 2
_symmetry_space_group_name_Hall '-P 1'
_cell_length_a 5.237
_cell_length_b 7.875
_cell_length_c 9.700
_cell_angle_alpha 74.60
_cell_angle_beta 76.12
_cell_angle_gamma 88.13
loop_
_atom_site_label
_atom_site_fract_x
_atom_site_fract_y
_atom_site_fract_z
_atom_site_occupancy
Li1 0.077 0.335 0.025 1
Li2 0.268 0.979 0.317 1
Mn1 0.151 0.255 0.502 1
Mn2 0.189 0.091 0.838 1
Mn3 0.490 0.581 0.825 1
B1 0.034 0.468 0.734 1
B2 0.290 0.872 0.608 1
B3 0.374 0.809 0.054 1
O1 0.094 0.533 0.841 1
O2 0.134 0.001 0.665 1
O3 0.140 0.851 0.003 1
O4 0.172 0.329 0.690 1
O5 0.180 0.469 0.325 1
O6 0.221 0.805 0.508 1
O7 0.431 0.890 0.151 1
O8 0.470 0.321 0.994 1
O9 0.477 0.174 0.346 1
```



Record 6
First-principles (PBE+U) data for a relaxed structure of LiMn2B2O6, as listed in the Materials Project database.

```
data_LiMn2B2O6
_chemical_formula_sum 'Li6 Mn12 B12 O36'
_symmetry_space_group_name_H-M 'P 1'
_symmetry_Int_Tables_number 1
_symmetry_space_group_name_Hall 'P 1'
_cell_length_a 9.070
_cell_length_b 9.096
_cell_length_c 11.475
_cell_angle_alpha 67.86
_cell_angle_beta 68.32
_cell_angle_gamma 60.80
loop_
_atom_site_label
_atom_site_fract_x
_atom_site_fract_y
_atom_site_fract_z
_atom_site_occupancy
Li1 0.000 0.000 0.000 1
Li2 0.129 0.183 0.491 1
Li3 0.322 0.333 0.729 1
Li4 0.466 0.509 0.230 1
Li5 0.633 0.631 0.756 1
Li6 0.790 0.845 0.237 1
Mn1 0.114 0.847 0.277 1
Mn2 0.135 0.520 0.524 1
Mn3 0.248 0.705 0.780 1
Mn4 0.340 0.004 0.030 1
Mn5 0.410 0.145 0.263 1
Mn6 0.494 0.826 0.519 1
Mn7 0.629 0.330 0.024 1
Mn8 0.643 0.951 0.777 1
Mn9 0.747 0.193 0.532 1
Mn10 0.817 0.451 0.281 1
Mn11 0.950 0.669 0.022 1
Mn12 0.956 0.295 0.776 1
B1 0.094 0.491 0.293 1
B2 0.118 0.865 0.538 1
B3 0.291 0.682 0.031 1
B4 0.291 0.971 0.803 1
B5 0.456 0.163 0.532 1
B6 0.485 0.796 0.267 1
B7 0.586 0.338 0.773 1
B8 0.649 0.000 0.028 1
B9 0.750 0.158 0.272 1
B10 0.821 0.482 0.537 1
B11 0.959 0.629 0.768 1
B12 0.969 0.307 0.048 1
O1 0.010 0.033 0.531 1
O2 0.023 0.697 0.818 1
O3 0.076 0.483 0.716 1
O4 0.097 0.767 0.481 1
O5 0.119 0.039 0.808 1
O6 0.132 0.202 0.061 1
O7 0.161 0.319 0.302 1
O8 0.163 0.568 0.333 1
O9 0.203 0.656 0.968 1
O10 0.206 0.835 0.074 1
O11 0.262 0.784 0.594 1
O12 0.332 0.915 0.220 1
O13 0.364 0.051 0.838 1
O14 0.371 0.327 0.548 1
O15 0.392 0.094 0.482 1
O16 0.401 0.816 0.763 1
O17 0.421 0.446 0.768 1
O18 0.449 0.563 0.053 1
O19 0.528 0.158 0.056 1
O20 0.549 0.872 0.312 1
O21 0.558 0.626 0.271 1
O22 0.594 0.913 0.986 1
O23 0.606 0.260 0.215 1
O24 0.617 0.055 0.570 1
O25 0.679 0.193 0.718 1
O26 0.680 0.367 0.834 1
O27 0.708 0.629 0.573 1
O28 0.773 0.240 0.342 1
O29 0.776 0.413 0.469 1
O30 0.788 0.696 0.776 1
O31 0.815 0.924 0.042 1
O32 0.860 0.995 0.261 1
O33 0.879 0.456 0.098 1
O34 0.886 0.274 0.986 1
O35 0.941 0.599 0.246 1
O36 0.983 0.384 0.568 1
```



Record 7
First-principles (PBE+U) data for a relaxed structure of Li5Mn6B6O18, as listed in the Materials Project database.

```
data_Li5Mn6B6O18
_chemical_formula_sum 'Li5 Mn6 B6 O18'
_symmetry_space_group_name_H-M 'P 1'
_symmetry_Int_Tables_number 1
_symmetry_space_group_name_Hall 'P 1'
_cell_length_a 5.215
_cell_length_b 6.205
_cell_length_c 12.011
_cell_angle_alpha 84.79
_cell_angle_beta 78.48
_cell_angle_gamma 87.20
loop_
_atom_site_label
_atom_site_fract_x
_atom_site_fract_y
_atom_site_fract_z
_atom_site_occupancy
Li1 0.000 0.000 0.000 1
Li2 0.067 0.835 0.204 1
Li3 0.336 0.326 0.335 1
Li4 0.412 0.166 0.536 1
Li5 0.731 0.521 0.860 1
Mn1 0.108 0.833 0.763 1
Mn2 0.308 0.326 0.766 1
Mn3 0.435 0.178 0.101 1
Mn4 0.631 0.662 0.104 1
Mn5 0.772 0.511 0.441 1
Mn6 0.967 0.995 0.439 1
B1 0.193 0.566 0.987 1
B2 0.214 0.582 0.548 1
B3 0.521 0.894 0.325 1
B4 0.554 0.947 0.881 1
B5 0.856 0.228 0.660 1
B6 0.878 0.267 0.217 1
O1 0.026 0.147 0.135 1
O2 0.043 0.687 0.069 1
O3 0.103 0.528 0.889 1
O4 0.113 0.151 0.667 1
O5 0.273 0.592 0.657 1
O6 0.301 0.033 0.865 1
O7 0.373 0.468 0.467 1
O8 0.379 0.018 0.407 1
O9 0.426 0.858 0.228 1
O10 0.443 0.489 0.999 1
O11 0.629 0.347 0.205 1
O12 0.631 0.974 0.984 1
O13 0.701 0.827 0.801 1
O14 0.702 0.319 0.750 1
O15 0.772 0.813 0.336 1
O16 0.773 0.209 0.558 1
O17 0.970 0.303 0.316 1
O18 0.987 0.685 0.527 1
```



Record 8
First-principles (PBE+U) data for a relaxed structure of Li5Mn6B6O18, as listed in the Materials Project database.

```
data_Li5Mn6B6O18
_chemical_formula_sum 'Li5 Mn6 B6 O18'
_symmetry_space_group_name_H-M 'P 1'
_symmetry_Int_Tables_number 1
_symmetry_space_group_name_Hall 'P 1'
_cell_length_a 5.300
_cell_length_b 7.932
_cell_length_c 9.602
_cell_angle_alpha 76.23
_cell_angle_beta 75.50
_cell_angle_gamma 87.40
loop_
_atom_site_label
_atom_site_fract_x
_atom_site_fract_y
_atom_site_fract_z
_atom_site_occupancy
Li1 0.000 0.000 0.000 1
Li2 0.051 0.528 0.169 1
Li3 0.331 0.331 0.332 1
Li4 0.647 0.681 0.660 1
Li5 0.718 0.192 0.838 1
Mn1 0.090 0.729 0.798 1
Mn2 0.300 0.131 0.692 1
Mn3 0.423 0.056 0.145 1
Mn4 0.629 0.466 0.026 1
Mn5 0.752 0.399 0.473 1
Mn6 0.962 0.805 0.372 1
B1 0.176 0.345 0.926 1
B2 0.204 0.512 0.579 1
B3 0.508 0.675 0.259 1
B4 0.542 0.849 0.909 1
B5 0.838 0.013 0.601 1
B6 0.872 0.182 0.244 1
O1 0.003 0.040 0.198 1
O2 0.045 0.488 0.973 1
O3 0.058 0.242 0.862 1
O4 0.068 0.968 0.644 1
O5 0.296 0.889 0.883 1
O6 0.319 0.593 0.657 1
O7 0.332 0.372 0.524 1
O8 0.367 0.815 0.298 1
O9 0.397 0.568 0.195 1
O10 0.419 0.300 0.955 1
O11 0.628 0.224 0.216 1
O12 0.659 0.950 0.974 1
O13 0.674 0.709 0.859 1
O14 0.708 0.160 0.643 1
O15 0.730 0.917 0.531 1
O16 0.753 0.639 0.289 1
O17 0.962 0.564 0.548 1
O18 0.990 0.284 0.308 1
```



no.,magnetization (μB/atom),ΔH_f (0 K) (eV per atom),E (eV per atom)
1,0.82,-2.463,-7.444
2,0.82,-2.423,-7.405
3,0.29,-2.453,-6.961
4,0.82,-2.413,-7.487
5,0.82,-2.444,-7.426
6,0.82,-2.430,-7.504
7,0.83,-2.477,-7.370
8,0.83,-2.474,-7.367